Li4NbFeTe2O12: optimized geometry, PBE with a Hubbard U.

* largest piezoelectric modulus: 1.0 C/m2
* SG: P1 (1)
* electronic total energy: -123.1 eV for the cell shown

a = 5.176 Å, b = 5.444 Å, c = 7.531 Å
α = 86.07°, β = 89.81°, γ = 89.95°
Element x y z (fractional)
Li1 0.001 0.571 0.263
Li2 0.501 0.053 0.800
Li3 0.004 0.588 0.806
Li4 0.496 0.019 0.249
Nb1 0.499 0.500 0.506
Fe1 0.001 0.014 0.002
Te1 0.999 0.004 0.500
Te2 0.499 0.501 0.003
O1 0.694 0.810 0.430
O2 0.874 0.989 0.739
O3 0.674 0.187 0.049
O4 0.818 0.308 0.429
O5 0.207 0.310 0.929
O6 0.627 0.493 0.750
O7 0.376 0.488 0.249
O8 0.807 0.679 0.051
O9 0.179 0.684 0.559
O10 0.306 0.794 0.936
O11 0.122 0.975 0.261
O12 0.315 0.176 0.561